# Nd2MgCd | the Materials Project | r²SCAN | relaxed
data_Nd2MgCd
_chemical_formula_sum 'Nd8 Mg4 Cd4'
_space_group_name_H-M_alt 'P 1'
_space_group_IT_number 1
_cell_length_a 7.7202
_cell_length_b 7.7202
_cell_length_c 7.7202
_cell_angle_alpha 90.00
_cell_angle_beta 90.00
_cell_angle_gamma 90.00
loop_
_space_group_symop_operation_xyz
'x,y,z'
loop_
_atom_site_label
_atom_site_fract_x
_atom_site_fract_y
_atom_site_fract_z
_atom_site_occupancy
Nd1 0.2500 0.2500 0.2500 1
Nd2 0.2500 0.2500 0.7500 1
Nd3 0.2500 0.7500 0.2500 1
Nd4 0.2500 0.7500 0.7500 1
Nd5 0.7500 0.2500 0.2500 1
Nd6 0.7500 0.2500 0.7500 1
Nd7 0.7500 0.7500 0.2500 1
Nd8 0.7500 0.7500 0.7500 1
Mg1 0.0000 0.0000 0.0000 1
Mg2 0.0000 0.5000 0.5000 1
Mg3 0.5000 0.0000 0.5000 1
Mg4 0.5000 0.5000 0.0000 1
Cd1 0.0000 0.0000 0.5000 1
Cd2 0.0000 0.5000 0.0000 1
Cd3 0.5000 0.0000 0.0000 1
Cd4 0.5000 0.5000 0.5000 1
# Electronic total energy in eV/atom: -21.01
# M_tot in Bohr magnetons per cell: 0.0
# Space group: Fm-3m, No. 225